1.
Here is crystalline V6O5F19 at its relaxed geometry from Materials Project. Energies are from GGA+U.

Values from the calculation:
For the polymorph energy (0 for the lowest one), the calculation gives 0.007 eV per atom. The value obtained for the energy is -0.42923 Ry/atom. The formation energy is -2733 meV/atom. The calculation puts the MP2020-corrected energy at -197.614 eV for the cell shown. As for the total moment: 1.04 Bohr magnetons per cell.

Unit cell a=5.375 b=5.520 c=14.726 alpha=100.67 beta=89.64 gamma=92.34
Positions (direct):
V 0.947 0.986 0.005
V 0.543 0.802 0.671
V 0.034 0.615 0.329
V 0.439 0.527 0.994
V 0.034 0.290 0.663
V 0.514 0.153 0.335
O 0.716 0.789 0.020
O 0.772 0.637 0.688
O 0.216 0.709 0.976
O 0.201 0.369 0.308
O 0.203 0.052 0.646
F 0.787 0.986 0.359
F 0.299 0.849 0.309
F 0.946 0.958 0.884
F 0.564 0.812 0.551
F 0.911 0.640 0.220
F 0.407 0.880 0.782
F 0.073 0.726 0.449
F 0.441 0.548 0.115
F 0.718 0.468 0.358
F 0.795 0.275 0.026
F 0.289 0.535 0.639
F 0.594 0.447 0.886
F 0.904 0.292 0.553
F 0.570 0.132 0.216
F 0.074 0.412 0.783
F 0.398 0.221 0.449
F 0.099 0.045 0.114
F 0.723 0.125 0.695
F 0.287 0.220 0.977

2.
Here is crystalline VOF2 at its relaxed geometry from Materials Project. Energies are from GGA+U.

Values from the calculation:
The value obtained for the energy is -0.47742 Ry/atom. The formation energy is -2858 meV/atom. The calculation puts the MP2020-corrected energy at -175.762 eV for the cell shown.

Unit cell a=5.223 b=5.223 c=13.379 alpha=89.43 beta=89.34 gamma=60.25
Positions (direct):
V 0.008 0.030 0.493
V 0.970 0.009 0.993
V 0.365 0.304 0.826
V 0.694 0.683 0.660
V 0.352 0.344 0.325
V 0.663 0.684 0.159
O 0.575 0.009 0.753
O 0.679 0.229 0.921
O 0.904 0.762 0.586
O 0.564 0.422 0.250
O 0.087 0.242 0.418
O 0.753 0.894 0.086
F 0.993 0.413 0.754
F 0.668 0.071 0.416
F 0.930 0.316 0.088
F 0.736 0.338 0.585
F 0.390 0.008 0.248
F 0.979 0.602 0.258
F 0.262 0.072 0.920
F 0.418 0.592 0.750
F 0.265 0.656 0.424
F 0.328 0.738 0.080
F 0.097 0.647 0.916
F 0.320 0.933 0.590

3.
Here is crystalline VOF3 at its relaxed geometry from Materials Project. Energies are from GGA+U.

Values from the calculation:
The value obtained for the energy is -0.43031 Ry/atom. The formation energy is -2654 meV/atom. The calculation puts the MP2020-corrected energy at -132.185 eV for the cell shown. As for the total moment: 0.00 Bohr magnetons per cell.

Unit cell a=5.831 b=5.831 c=8.176 alpha=90.00 beta=90.00 gamma=90.00
Positions (direct):
V 0.001 0.274 0.020
V 0.274 0.999 0.770
V 0.726 0.001 0.270
V 0.999 0.726 0.520
O 0.022 0.769 0.724
O 0.231 0.022 0.974
O 0.769 0.978 0.474
O 0.978 0.231 0.224
F 0.016 0.219 0.769
F 0.224 0.534 0.480
F 0.226 0.473 0.009
F 0.219 0.984 0.519
F 0.466 0.224 0.730
F 0.473 0.774 0.759
F 0.527 0.226 0.259
F 0.534 0.776 0.230
F 0.781 0.016 0.019
F 0.774 0.527 0.509
F 0.776 0.466 0.980
F 0.984 0.781 0.269

4.
Here is crystalline V6O11F at its relaxed geometry from Materials Project. Energies are from GGA+U.

Values from the calculation:
For the polymorph energy (0 for the lowest one), the calculation gives 0.000 eV per atom. The value obtained for the energy is -0.56379 Ry/atom. The formation energy is -2525 meV/atom. The calculation puts the MP2020-corrected energy at -156.292 eV for the cell shown.

Unit cell a=4.616 b=5.531 c=7.532 alpha=85.81 beta=89.22 gamma=89.01
Positions (direct):
V 0.523 0.847 0.674
V 0.481 0.482 0.990
V 0.492 0.169 0.334
V 0.984 0.321 0.662
V 0.981 0.665 0.311
V 0.008 0.005 0.008
O 0.802 0.366 0.432
O 0.797 0.691 0.108
O 0.810 0.041 0.771
O 0.692 0.204 0.104
O 0.713 0.536 0.764
O 0.695 0.864 0.446
O 0.301 0.140 0.574
O 0.305 0.464 0.232
O 0.313 0.800 0.887
O 0.208 0.963 0.243
O 0.201 0.307 0.899
F 0.195 0.633 0.559

> What is the energy in the second record?

-0.47742 Ry/atom